[1]
An optimized crystal structure of ThPS, computed with r²SCAN.

```
ThPS
1.0
3.9860 0.0000 0.0000
0.0000 3.9860 0.0000
0.0000 0.0000 8.1796
Th P S
2 2 2
Cartesian
0.9965 0.9965 1.9297
2.9895 2.9895 6.2499
0.9965 2.9895 4.0898
2.9895 0.9965 4.0898
0.9965 0.9965 7.1028
2.9895 2.9895 1.0768
```

Properties
As for the volume: 21.7 Å³ per atom. As for the crystal system: tetragonal. The calculation puts the energy at -191.5 eV per cell. The formation energy comes out at -1.74 eV per atom. Its mass density is 7.5 Mg/m³. Its space group is P4/nmm (129).

---

[2]
An optimized crystal structure of TmPS, computed with r²SCAN.

```
TmPS
1.0
5.2731 0.0000 0.0000
0.0000 5.2524 0.0000
0.0000 0.0000 16.5106
Tm P S
8 8 8
Cartesian
0.0705 1.3131 2.4136
0.0839 3.9393 5.9709
2.5526 1.3131 14.2262
2.5660 3.9393 10.6689
2.7071 1.3131 5.8417
2.7205 3.9393 2.2844
5.1892 1.3131 10.5397
5.2026 3.9393 14.0970
1.1030 2.8187 16.4658
1.1030 5.0599 16.4658
1.5336 0.1925 8.2105
1.5336 2.4337 8.2105
3.7396 2.8187 8.3001
3.7396 5.0599 8.3001
4.1701 0.1925 0.0448
4.1701 2.4337 0.0448
0.0526 1.3131 5.2064
0.0764 3.9393 3.1211
2.5602 1.3131 11.3765
2.5840 3.9393 13.4617
2.6891 1.3131 3.0489
2.7130 3.9393 5.1342
5.1967 1.3131 13.3895
5.2206 3.9393 11.3042
```

Properties
As for the volume: 19.1 Å³ per atom. As for the crystal system: orthorhombic. The calculation puts the energy at -459.5 eV per cell. The formation energy comes out at -1.76 eV per atom. Its mass density is 6.7 Mg/m³. Its space group is Pnma (62).

---

[3]
An optimized crystal structure of U3P2S, computed with r²SCAN.

```
U3P2S
1.0
4.0659 0.0000 0.0000
-2.0330 3.5212 0.0000
0.0000 0.0000 9.4623
U P S
3 2 1
Cartesian
0.0000 0.0000 0.0000
0.0000 2.3475 6.3011
2.0330 1.1737 3.1612
0.0000 2.3475 1.5982
2.0330 1.1737 7.8641
0.0000 0.0000 4.7312
```

Properties
As for the volume: 22.6 Å³ per atom. As for the crystal system: trigonal. The calculation puts the energy at -274.9 eV per cell. The formation energy comes out at -1.50 eV per atom. Its mass density is 9.9 Mg/m³. Its space group is P-3m1 (164).

---

[4]
An optimized crystal structure of YPS4, computed with r²SCAN.

```
YPS4
1.0
-5.3650 5.3650 9.5431
5.3650 -5.3650 9.5431
5.3650 5.3650 -9.5431
Y P S
8 8 32
Cartesian
5.3650 2.6825 -2.3858
5.3650 -2.6825 7.1573
0.0000 2.6825 2.3858
5.3650 2.6825 2.3858
0.0000 2.6825 7.1573
5.3650 2.6825 7.1573
0.0000 8.0475 2.3858
0.0000 2.6825 11.9289
2.6825 2.2732 0.0000
0.4093 0.0000 4.7715
5.7744 0.0000 4.7715
2.6825 -2.2732 9.5431
2.6825 7.6382 0.0000
-0.4093 5.3650 4.7715
4.9557 5.3650 4.7715
2.6825 3.0919 9.5431
6.8335 -1.7349 4.7085
6.8335 3.6302 -4.7085
8.0920 1.9763 -1.6946
4.4174 1.2140 -0.0630
0.9476 1.2140 0.0630
4.6588 5.3206 -6.4661
4.6588 0.0444 3.0770
2.6381 3.3888 -1.6946
8.0031 1.9763 1.6946
4.6588 -0.0444 6.4661
4.6588 5.4094 -3.0770
6.3127 4.1510 -0.0630
4.4174 -1.2140 9.6061
2.7269 3.3888 1.6946
1.4685 1.7349 4.7085
6.8335 1.7349 4.8346
-1.4685 3.6302 4.7085
3.8965 3.6302 4.8346
2.6381 1.9763 7.8485
0.9476 6.5790 -0.0630
-0.9476 1.2140 9.6061
0.7062 -0.0444 12.6201
0.7062 5.4094 3.0770
-2.6381 3.3888 7.8485
2.7269 1.9763 11.2377
0.7062 5.3206 6.4661
0.7062 0.0444 16.0092
4.4174 4.1510 9.4801
0.9476 4.1510 9.6061
-2.7269 3.3888 11.2377
-1.4685 1.7349 14.2516
-1.4685 7.0999 4.8346
```

Properties
As for the volume: 22.9 Å³ per atom. As for the crystal system: tetragonal. The calculation puts the energy at -549.9 eV per cell. The formation energy comes out at -1.21 eV per atom. Its mass density is 3.0 Mg/m³. Its space group is I4_1/acd (142).

---

[5]
An optimized crystal structure of Zn2P3S9, computed with r²SCAN.

```
Zn2P3S9
1.0
9.2240 -5.3410 0.0000
9.2240 5.3410 0.0000
-0.6386 0.0000 6.7319
Zn P S
4 6 18
Cartesian
6.3949 3.4995 5.6008
11.4145 3.4995 1.1311
6.3949 -3.4995 5.6008
11.4145 -3.4995 1.1311
-0.1059 0.0000 5.7504
5.0632 0.0000 0.7906
6.3735 0.0000 5.3848
11.4359 0.0000 1.3471
12.7462 0.0000 5.9413
17.9153 0.0000 0.9815
1.1022 0.0000 2.2435
7.6553 3.6288 1.1164
4.4585 1.7062 1.6294
10.1541 3.6288 5.6155
4.2570 0.0000 5.3977
7.1976 1.5925 4.5185
7.1707 0.0000 0.7741
4.4585 -1.7062 1.6294
10.6118 1.5925 2.2133
7.1976 -1.5925 4.5185
13.3509 1.7062 5.1025
10.6387 0.0000 5.9578
10.6118 -1.5925 2.2133
13.5524 0.0000 1.3342
7.6553 -3.6288 1.1164
13.3509 -1.7062 5.1025
10.1541 -3.6288 5.6155
16.7071 0.0000 4.4884
```

Properties
As for the volume: 23.7 Å³ per atom. As for the crystal system: monoclinic. The calculation puts the energy at -246.8 eV per cell. The formation energy comes out at -0.45 eV per atom. Its mass density is 2.6 Mg/m³. Its space group is C2/m (12).

---

[6]
An optimized crystal structure of Zr2P3S, computed with r²SCAN.

```
Zr2P3S
1.0
3.6046 0.0000 0.0000
0.0000 3.6046 0.0000
0.0000 0.0000 7.8451
Zr P S
2 3 1
Cartesian
0.0000 0.0000 0.0000
1.8023 1.8023 3.6666
0.0000 1.8023 5.7406
1.8023 0.0000 5.7406
1.8023 1.8023 0.8841
0.0000 0.0000 2.8012
```

Properties
As for the volume: 17.0 Å³ per atom. As for the crystal system: tetragonal. The calculation puts the energy at -87.9 eV per cell. The formation energy comes out at -1.22 eV per atom. Its mass density is 5.0 Mg/m³. Its space group is P4mm (99).

---

[7]
An optimized crystal structure of Sb2P3Se9, computed with r²SCAN.

```
Sb2P3Se9
1.0
9.5954 0.0000 0.0000
0.0000 7.6037 0.0000
-9.4047 0.0000 21.4595
Sb P Se
8 12 36
Cartesian
-2.7284 0.7006 7.4071
-7.4308 3.1012 18.1369
-2.2903 1.6832 13.7826
2.4120 2.1186 3.0529
-2.2213 5.4851 18.4066
2.4810 5.9205 7.6769
7.6215 4.5025 3.3226
2.9192 6.9031 14.0523
-0.6190 0.5055 3.1080
-5.3213 3.2964 13.8377
-4.0659 4.9522 14.6939
0.6364 6.4534 3.9642
-4.8839 4.1535 20.4239
-0.1816 7.2521 9.6941
0.3723 0.3516 11.7653
5.0746 3.4502 1.0356
-0.4457 1.1504 17.4953
4.2567 2.6515 6.7655
5.5120 4.3074 7.6218
0.8097 7.0982 18.3515
0.6154 1.1270 1.3639
-4.0869 2.6748 12.0936
-6.8816 0.4415 18.8826
-2.1793 3.3603 8.1529
-5.3253 1.7581 15.3574
-0.6230 2.0438 4.6277
0.5056 4.9393 2.3375
-4.1967 6.4663 13.0672
-7.0855 4.3772 20.5261
-2.3831 7.0284 9.7963
-0.3470 5.6962 5.7299
-5.0493 5.7094 16.4597
0.5193 1.0583 8.2496
-4.1830 2.7435 18.9794
-2.0555 4.0935 15.0411
2.6469 7.3121 4.3113
4.1192 1.4351 1.1375
-0.5831 2.3667 11.8672
0.7739 5.2370 9.5922
-3.9285 6.1686 20.3220
-2.4561 0.2916 17.1481
2.2462 3.5102 6.4184
4.3738 4.8602 2.4801
-0.3286 6.5454 13.2098
5.2400 1.8944 4.9998
0.5377 1.9075 15.7295
2.5739 0.5753 11.6632
7.2762 3.2266 0.9334
4.3874 1.1375 8.3922
-0.3149 2.6644 19.1220
0.8137 5.5599 16.8318
5.5160 5.8457 6.1020
2.3700 4.2434 13.3066
7.0724 7.1622 2.5769
4.2776 4.9289 9.3658
-0.4247 6.4767 20.0956
```

Properties
As for the volume: 28.0 Å³ per atom. As for the crystal system: monoclinic. The calculation puts the energy at -839.1 eV per cell. The formation energy comes out at -0.18 eV per atom. Its mass density is 4.4 Mg/m³. Its space group is P2_1/c (14).

---

[8]
An optimized crystal structure of Sc3P2, computed with r²SCAN.

```
Sc3P2
1.0
10.1765 0.0000 0.0000
0.0000 3.7289 0.0000
0.0000 0.0000 10.0761
Sc P
12 8
Cartesian
0.4753 0.9322 1.3418
1.2812 2.7967 5.6670
2.2808 0.9322 8.0643
2.8074 2.7967 3.0263
3.8070 0.9322 0.6289
4.6130 2.7967 6.3799
5.5635 0.9322 3.6962
6.3695 2.7967 9.4472
7.3691 0.9322 7.0498
7.8956 2.7967 2.0118
8.8952 0.9322 4.4092
9.7012 2.7967 8.7343
0.1181 2.7967 3.2297
1.8953 2.7967 10.0500
3.1929 0.9322 5.0119
4.9701 0.9322 8.2677
5.2064 2.7967 1.8084
6.9835 2.7967 5.0642
8.2812 0.9322 0.0261
10.0583 0.9322 6.8464
```

Properties
As for the volume: 19.1 Å³ per atom. Its energy above the most stable polymorph in this dataset is 19 meV per atom. As for the crystal system: orthorhombic. The calculation puts the energy at -236.4 eV per cell. The formation energy comes out at -1.38 eV per atom. Its mass density is 3.4 Mg/m³. Its space group is Pnma (62).

---

[9]
An optimized crystal structure of Sc3P2, computed with r²SCAN.

```
Sc3P2
1.0
6.9595 0.0000 0.0000
0.0000 3.7775 0.0000
0.0000 0.0000 14.4428
Sc P
12 8
Cartesian
0.0589 0.9444 1.4884
0.9428 2.8332 6.2321
1.1308 0.9444 10.4449
2.3490 2.8332 3.2235
2.5370 0.9444 13.4535
3.4209 2.8332 8.7098
3.5387 0.9444 5.7330
4.4226 2.8332 0.9893
4.6106 0.9444 11.2193
5.8288 2.8332 3.9979
6.0167 0.9444 8.2107
6.9006 2.8332 12.9544
0.8858 0.9444 4.2464
1.7029 2.8332 0.6072
1.7769 0.9444 7.8286
2.5940 2.8332 11.4678
4.3656 0.9444 2.9750
5.1827 2.8332 6.6142
5.2566 0.9444 13.8355
6.0737 2.8332 10.1964
```

Properties
As for the volume: 19.0 Å³ per atom. Its energy above the most stable polymorph in this dataset is 0 meV per atom. As for the crystal system: orthorhombic. The calculation puts the energy at -236.7 eV per cell. The formation energy comes out at -1.40 eV per atom. Its mass density is 3.4 Mg/m³. Its space group is Pnma (62).

---

[10]
An optimized crystal structure of Sc7P3, computed with r²SCAN.

```
Sc7P3
1.0
8.9880 0.0000 0.0000
-4.4940 7.7838 0.0000
0.0000 0.0000 5.6789
Sc P
14 6
Cartesian
-1.7771 4.1632 0.0000
0.0000 1.9286 1.4923
-2.8237 6.8195 1.4923
1.6702 0.9643 4.3318
0.0000 5.1892 2.4696
1.7771 4.1632 0.0000
0.0000 7.2412 0.0000
4.4940 0.5426 2.8395
2.7169 3.6206 2.8395
4.4940 2.5946 5.3091
2.8237 6.8195 1.4923
7.3177 0.9643 4.3318
4.4940 5.8552 4.3318
6.2711 3.6206 2.8395
0.0000 2.9815 4.0210
-1.9119 6.2931 4.0210
2.5820 1.4907 1.1815
1.9119 6.2931 4.0210
6.4059 1.4907 1.1815
4.4940 4.8023 1.1815
```

Properties
As for the volume: 19.9 Å³ per atom. As for the crystal system: hexagonal. The calculation puts the energy at -234.4 eV per cell. The formation energy comes out at -1.04 eV per atom. Its mass density is 3.4 Mg/m³. Its space group is P6_3mc (186).

---

[11]
An optimized crystal structure of P4Se5, computed with r²SCAN.

```
P4Se5
1.0
13.1955 0.0000 0.0000
0.0000 6.8127 0.0000
0.0000 0.0000 11.4875
P Se
16 20
Cartesian
0.7802 0.0658 0.0000
1.2945 0.6805 2.0850
1.4296 4.7921 0.5764
2.4159 3.6724 5.9263
4.1819 0.2660 0.1826
5.1681 1.3857 6.3202
5.3033 4.0869 7.8287
5.8175 3.4721 5.7437
7.3780 3.3406 0.0000
7.8922 2.7258 2.0850
8.0274 5.4270 0.5764
9.0136 6.5467 5.9263
10.7796 3.1403 0.1826
11.7659 2.0207 6.3202
11.9010 6.1322 7.8287
12.4153 6.7470 5.7437
0.1937 2.1508 3.1272
0.9321 5.3543 2.7627
2.4476 0.9264 10.3089
2.9043 1.4619 6.0672
3.0891 4.5725 7.9033
3.5086 1.1661 2.1596
3.6935 4.8682 0.3235
4.1502 4.3328 4.5652
5.6657 1.9480 8.5064
6.4041 5.5572 8.8710
6.7914 1.2555 3.1272
7.5298 4.8648 2.7627
9.0453 2.4800 10.3089
9.5020 1.9445 6.0672
9.6869 5.6466 7.9033
10.1064 2.2402 2.1596
10.2912 5.3508 0.3235
10.7479 5.8863 4.5652
12.2634 1.4584 8.5064
13.0018 4.6619 8.8710
```

Properties
As for the volume: 28.7 Å³ per atom. As for the crystal system: orthorhombic. The calculation puts the energy at -432.9 eV per cell. The formation energy comes out at -0.07 eV per atom. Its mass density is 3.3 Mg/m³. Its space group is Pna2_1 (33).

---

[12]
An optimized crystal structure of Tl2PSe3, computed with r²SCAN.

```
Tl2PSe3
1.0
12.4001 0.0000 0.0000
0.0000 9.1349 0.0000
-2.1104 0.0000 12.4359
Tl P Se
16 8 24
Cartesian
-0.3538 1.3661 3.8971
-1.4090 3.2014 10.1151
2.4392 4.9194 0.6261
1.3841 8.7829 6.8440
3.2041 1.6616 3.0621
2.1489 2.9059 9.2801
3.7884 5.5585 7.0908
4.8436 8.1438 0.8728
5.4462 0.9910 11.5631
6.5013 3.5764 5.3452
8.1408 6.2290 3.1558
7.0856 7.4733 9.3738
8.9057 0.3520 5.5919
7.8505 4.2155 11.8098
11.6987 5.9335 2.3208
10.6435 7.7688 8.5388
-0.1959 5.2806 6.0033
-1.2511 8.4217 12.2212
4.9375 0.6710 7.1142
5.9926 3.8965 0.8963
4.2971 5.2384 11.5396
5.3523 8.4639 5.3217
11.5409 0.7131 0.2147
10.4857 3.8543 6.4326
-0.9972 2.0452 7.2704
0.0579 2.5223 1.0524
0.1247 0.2309 10.8291
1.1798 4.3366 4.6112
0.6722 5.6825 7.9907
1.7274 8.0198 1.7728
2.3804 6.0802 10.9149
3.4356 7.6221 4.6969
3.5155 2.1618 6.3533
4.5707 2.4056 0.1354
5.1059 5.1712 2.4528
4.0508 8.5311 8.6708
6.2390 0.6038 3.7651
5.1838 3.9637 9.9831
5.7191 6.7293 12.3005
6.7742 6.9730 6.0826
6.8541 1.5128 7.7390
7.9093 3.0547 1.5210
8.5623 1.1151 10.6631
9.6175 3.4523 4.4452
9.1099 4.7983 7.8247
10.1651 8.9040 1.6068
10.2318 6.6126 11.3835
11.2870 7.0897 5.1655
```

Properties
As for the volume: 29.3 Å³ per atom. As for the crystal system: monoclinic. The calculation puts the energy at -1285.7 eV per cell. The formation energy comes out at -0.40 eV per atom. Its mass density is 6.4 Mg/m³. Its space group is P2_1/c (14).